(1)
Here is a relaxed CaLaCrSnO6 crystal from the Materials Project database. Energies are from PBE with a Hubbard U.

Summary:
Space group   Pc
Raw total energy   -7.324 eV per atom
Energy of formation from the pure elements   -2.91 eV per atom
Distance to the lowest polymorph of the same formula   0.000 eV/atom

Structure (POSCAR):
```
CaLaCrSnO6
1.0
5.5950 0.0000 0.0000
0.0000 5.6893 0.0000
-5.5628 0.0000 7.9645
Ca La Cr Sn O
2 2 2 2 12
Cartesian
0.0000 1.1593 0.0000 Ca
-2.7814 4.5299 3.9822 Ca
-0.1146 1.6513 3.9744 La
-2.8960 4.0380 7.9567 La
-2.8469 1.4206 5.9738 Cr
-0.0655 4.2686 1.9916 Cr
2.7340 1.4181 1.9799 Sn
-0.0474 4.2711 5.9621 Sn
-1.2094 0.2104 2.3755 O
-3.9908 5.4789 6.3577 O
1.0648 2.6157 1.5823 O
-1.7166 3.0736 5.5646 O
-1.2354 0.2476 5.5828 O
1.5460 5.4417 1.6005 O
-2.2964 1.5751 7.9316 O
0.4850 4.1141 3.9493 O
2.2407 1.2493 4.0051 O
5.0221 4.4400 0.0229 O
1.1230 2.5851 6.3744 O
3.9044 3.1042 2.3922 O
```

=====

(2)
Here is a relaxed CaLaCrSnO6 crystal from the Materials Project database. Energies are from PBE with a Hubbard U.

Summary:
Space group   F-43m
Raw total energy   -7.184 eV per atom
Energy of formation from the pure elements   -2.77 eV per atom
Distance to the lowest polymorph of the same formula   0.140 eV/atom

Structure (POSCAR):
```
CaLaCrSnO6
1.0
0.0000 3.9958 3.9958
3.9958 0.0000 3.9958
3.9958 3.9958 0.0000
Ca La Cr Sn O
1 1 1 1 6
Cartesian
0.0000 0.0000 0.0000 Ca
3.9958 3.9958 3.9958 La
1.9979 1.9979 1.9979 Cr
5.9937 5.9937 5.9937 Sn
1.9979 1.9979 0.0286 O
1.9979 0.0286 1.9979 O
3.9672 1.9979 1.9979 O
0.0286 1.9979 1.9979 O
1.9979 3.9672 1.9979 O
1.9979 1.9979 3.9672 O
```

=====

(3)
Here is a relaxed Ca8La2Ti5Cr5O30 crystal from the Materials Project database. Energies are from PBE with a Hubbard U.

Summary:
Space group   P-1
Raw total energy   -7.832 eV per atom
Energy of formation from the pure elements   -3.20 eV per atom

Structure (POSCAR):
```
Ca8La2Ti5Cr5O30
1.0
5.4441 0.0000 0.0000
0.0232 5.5015 0.0000
0.0279 0.0253 38.4354
Ca La Ti Cr O
16 4 10 10 60
Cartesian
0.0606 0.2230 17.3335 Ca
0.0542 0.2188 9.6474 Ca
0.0487 0.2316 1.8592 Ca
0.0763 0.2236 24.9772 Ca
2.6733 2.9467 9.5827 Ca
2.6673 2.9433 1.8874 Ca
2.6971 2.9545 32.7048 Ca
2.6850 2.9577 17.3492 Ca
2.8101 2.5691 21.0862 Ca
2.7980 2.5723 5.7306 Ca
2.8279 2.5835 36.5480 Ca
2.8219 2.5801 28.8527 Ca
5.4189 5.3033 13.4582 Ca
5.4464 5.2952 36.5761 Ca
5.4410 5.3081 28.7880 Ca
5.4346 5.3038 21.1018 Ca
0.0611 0.1915 32.6933 La
2.7147 2.9142 24.9862 La
2.7805 2.6126 13.4492 La
5.4341 5.3353 5.7421 La
2.7129 0.0189 7.7202 Ti
2.7479 5.5104 15.4343 Ti
2.7158 0.0090 3.7609 Ti
2.7441 5.5032 11.4980 Ti
2.7220 0.0000 0.0000 Ti
2.7360 0.0126 19.2177 Ti
2.7472 0.0165 23.0011 Ti
2.7511 0.0236 26.9374 Ti
2.7793 5.5178 34.6744 Ti
2.7823 5.5079 30.7152 Ti
0.0116 2.7508 0.0000 Cr
0.0253 2.7634 15.4211 Cr
0.0255 2.7634 19.2177 Cr
5.4699 2.7634 23.0143 Cr
0.0436 2.7690 34.6405 Cr
0.0260 2.7568 11.4985 Cr
0.0491 2.7727 30.7177 Cr
5.4460 2.7542 7.7177 Cr
5.4692 2.7700 26.9369 Cr
5.4515 2.7578 3.7949 Cr
0.4212 2.8655 13.4792 O
0.4546 2.8099 5.8120 O
0.4775 2.8730 21.0929 O
0.4976 2.8673 36.5802 O
0.4895 2.8714 28.8840 O
1.1848 4.3282 7.9904 O
1.1921 4.3369 3.5424 O
1.2160 4.3276 18.8980 O
1.1987 4.3206 0.3135 O
1.2294 4.3119 23.3703 O
1.2281 4.3344 26.5899 O
1.2442 4.3181 31.0473 O
1.2397 4.3116 15.7059 O
1.2495 4.3221 34.3186 O
1.2471 4.3115 11.2108 O
1.5240 1.5412 8.0147 O
1.5403 1.5505 23.3438 O
1.5548 1.5752 31.0955 O
1.5547 1.5520 26.6081 O
1.5447 1.5388 3.5145 O
1.5538 1.5707 18.8956 O
1.5467 1.5583 0.3374 O
1.5755 1.5563 34.2605 O
1.5736 1.5743 15.7040 O
1.5937 1.5609 11.2089 O
2.3037 0.1351 28.8450 O
2.3020 0.1111 21.1259 O
2.3120 0.1449 36.5230 O
2.3185 0.0624 13.4630 O
2.3617 0.1000 5.7734 O
3.1335 5.4268 32.6620 O
3.1767 5.4645 24.9724 O
3.1831 5.3819 1.9124 O
3.1932 5.4157 17.3095 O
3.1914 5.3917 9.5904 O
3.9015 3.9659 27.2265 O
3.9216 3.9525 22.7313 O
3.9197 3.9705 4.1749 O
3.9485 3.9685 38.0979 O
3.9413 3.9561 19.5398 O
3.9505 3.9880 34.9208 O
3.9405 3.9748 11.8273 O
3.9403 3.9516 7.3398 O
3.9548 3.9763 15.0916 O
3.9711 3.9856 30.4206 O
4.2481 1.2153 27.2246 O
4.2456 1.2048 4.1167 O
4.2554 1.2153 22.7295 O
4.2509 1.2088 7.3880 O
4.2670 1.1924 11.8455 O
4.2658 1.2149 15.0651 O
4.2964 1.2062 38.1219 O
4.2792 1.1993 19.5374 O
4.3030 1.1899 34.8930 O
4.3103 1.1986 30.4450 O
5.0057 2.6555 9.5514 O
4.9976 2.6595 1.8552 O
5.0176 2.6538 17.3425 O
5.0405 2.7170 32.6234 O
5.0739 2.6614 24.9561 O
```

=====

(4)
Here is a relaxed Ca3La7Ti5Cr5O30 crystal from the Materials Project database. Energies are from PBE with a Hubbard U.

Summary:
Space group   Pm
Raw total energy   -8.303 eV per atom
Energy of formation from the pure elements   -3.38 eV per atom

Structure (POSCAR):
```
Ca3La7Ti5Cr5O30
1.0
5.5640 0.0000 0.0000
0.0000 39.2508 0.0000
-0.0297 0.0000 5.5715
Ca La Ti Cr O
6 14 10 10 60
Cartesian
0.0000 0.0000 0.0000 Ca
0.3847 19.6254 5.4594 Ca
3.1429 11.7572 2.7853 Ca
3.1429 27.4936 2.7853 Ca
5.5260 7.8825 5.5679 Ca
5.5260 31.3683 5.5679 Ca
0.0210 15.7193 5.5438 La
0.0210 23.5315 5.5438 La
0.3240 3.9404 5.4774 La
0.3240 35.3104 5.4774 La
0.3518 11.7227 5.4822 La
0.3518 27.5281 5.4822 La
2.8369 15.6636 2.6894 La
2.8369 23.5873 2.6894 La
2.8410 7.9239 2.6897 La
2.8410 31.3269 2.6897 La
2.8467 0.0000 2.6902 La
3.1062 19.6254 2.7719 La
3.1120 3.9499 2.7641 La
3.1120 35.3009 2.7641 La
0.1880 9.8108 2.7233 Ti
0.1872 13.6898 2.7355 Ti
0.1872 25.5610 2.7355 Ti
0.1880 29.4400 2.7233 Ti
0.1894 17.7027 2.7367 Ti
0.1894 21.5482 2.7367 Ti
0.1958 1.9274 2.7234 Ti
0.1951 5.9534 2.7188 Ti
0.1951 33.2974 2.7188 Ti
0.1958 37.3234 2.7234 Ti
2.9541 17.6839 5.5202 Cr
2.9541 21.5669 5.5202 Cr
2.9578 1.9477 5.5121 Cr
2.9575 5.9299 5.5132 Cr
2.9605 9.8266 5.5064 Cr
2.9586 13.7048 5.5126 Cr
2.9586 25.5460 5.5126 Cr
2.9605 29.4242 5.5064 Cr
2.9575 33.3210 5.5132 Cr
2.9578 37.3032 5.5121 Cr
0.0897 11.7792 2.3153 O
0.0897 27.4716 2.3153 O
0.1322 19.6254 2.2719 O
0.1451 3.9364 2.3190 O
0.1451 35.3144 2.3190 O
0.2457 0.0000 3.1858 O
0.2441 15.6959 3.1323 O
0.2441 23.5550 3.1323 O
0.2568 7.8629 3.1844 O
0.2568 31.3879 3.1844 O
1.4056 9.4765 1.1643 O
1.4056 29.7743 1.1643 O
1.4262 14.0771 1.1887 O
1.4262 25.1737 1.1887 O
1.4332 1.6296 1.2024 O
1.4354 6.2273 1.2085 O
1.4354 33.0235 1.2085 O
1.4332 37.6212 1.2024 O
1.4541 17.3142 1.2251 O
1.4541 21.9366 1.2251 O
1.6984 5.5574 3.9743 O
1.6984 33.6935 3.9743 O
1.7063 13.4070 3.9488 O
1.7063 25.8438 3.9488 O
1.7080 2.3109 3.9681 O
1.7065 17.9779 3.9781 O
1.7065 21.2729 3.9781 O
1.7080 36.9399 3.9681 O
1.7252 10.1722 3.9225 O
1.7252 29.0786 3.9225 O
2.8486 19.6254 0.4248 O
2.8666 11.7756 0.4509 O
2.8666 27.4752 0.4509 O
2.8978 3.9354 0.3926 O
2.8978 35.3154 0.3926 O
3.0398 15.7025 5.0605 O
3.0398 23.5483 5.0605 O
3.0946 7.8653 5.0316 O
3.0946 31.3855 5.0316 O
3.0976 0.0000 5.0358 O
4.2291 17.3210 1.4946 O
4.2291 21.9298 1.4946 O
4.2370 1.6521 1.4874 O
4.2376 6.2132 1.4988 O
4.2376 33.0376 1.4988 O
4.2370 37.5987 1.4874 O
4.2506 9.4931 1.4801 O
4.2506 29.7578 1.4801 O
4.2633 14.0883 1.4640 O
4.2633 25.1625 1.4640 O
4.4937 2.3215 4.2333 O
4.4958 5.5438 4.2369 O
4.4958 33.7070 4.2369 O
4.4937 36.9293 4.2333 O
4.5128 10.1541 4.2421 O
4.5135 13.4333 4.2537 O
4.5117 17.9969 4.2655 O
4.5117 21.2539 4.2655 O
4.5135 25.8175 4.2537 O
4.5128 29.0968 4.2421 O
```

=====

(5)
Here is a relaxed Ca6La4Ti5Cr5O30 crystal from the Materials Project database. Energies are from PBE with a Hubbard U.

Summary:
Space group   P1
Raw total energy   -8.051 eV per atom
Energy of formation from the pure elements   -3.30 eV per atom

Structure (POSCAR):
```
Ca6La4Ti5Cr5O30
1.0
5.5268 0.0000 0.0000
0.0198 5.5520 0.0000
0.0046 0.0440 38.4430
Ca La Ti Cr O
12 8 10 10 60
Cartesian
0.0000 0.0000 0.0000 Ca
5.5263 0.0179 15.3471 Ca
0.0019 0.0190 7.6756 Ca
0.0091 0.0367 30.7616 Ca
0.0166 0.0268 23.0261 Ca
2.7647 2.4613 19.2506 Ca
2.7662 2.4865 34.5428 Ca
2.7664 2.4501 3.9022 Ca
2.7662 2.4615 11.4464 Ca
2.8887 2.8535 30.8029 Ca
2.8848 2.8558 22.9843 Ca
2.8957 2.8158 7.6756 Ca
0.1096 5.2998 3.8621 La
0.1150 5.3154 19.2130 La
0.1138 5.3090 11.4847 La
0.1134 5.3254 26.9006 La
0.1208 5.3321 34.5796 La
2.7885 2.5249 26.9007 La
2.8705 2.7852 15.3397 La
2.8661 2.7687 0.0075 La
0.0459 2.6569 24.8800 Ti
0.0467 2.6619 28.9157 Ti
0.0531 2.6514 21.1478 Ti
0.0549 2.6648 32.6413 Ti
0.0581 2.6379 5.8189 Ti
0.0578 2.6423 9.5342 Ti
0.0700 2.6275 1.9511 Ti
0.0707 2.6396 13.3954 Ti
0.0729 2.6444 17.2794 Ti
0.0747 2.6662 36.5077 Ti
2.8391 5.4089 5.7949 Cr
2.8408 5.4138 9.5565 Cr
2.8393 5.4321 24.9160 Cr
2.8396 5.4356 28.8808 Cr
2.8428 5.4410 32.6303 Cr
2.8459 5.4047 1.9155 Cr
2.8474 5.4180 13.4335 Cr
2.8450 5.4216 17.2742 Cr
2.8444 5.4283 21.1521 Cr
2.8490 5.4444 36.5114 Cr
0.4685 2.5699 15.3728 O
0.4710 2.5964 38.4217 O
0.5426 2.5544 23.0505 O
0.5443 2.5632 30.7401 O
0.5420 2.5438 7.6698 O
1.3117 1.1310 5.4301 O
1.3078 1.1388 9.9146 O
1.3142 1.1628 32.9834 O
1.3145 1.1471 20.8082 O
1.3218 1.1660 25.3069 O
1.3217 1.1708 28.4853 O
1.3251 1.1487 2.2236 O
1.3269 1.1654 17.6106 O
1.3299 1.1867 36.1846 O
1.3250 1.1622 13.1262 O
1.5532 3.9159 25.3015 O
1.5530 3.9184 28.4908 O
1.5644 3.8826 5.4165 O
1.5620 3.8848 9.9283 O
1.5760 3.8955 20.7958 O
1.5743 3.9068 32.9963 O
1.5816 3.8766 17.6208 O
1.5844 3.8984 36.1740 O
1.5824 3.8578 2.2350 O
1.5829 3.8694 13.1145 O
2.3459 5.3120 23.0319 O
2.3517 5.3269 30.7693 O
2.3559 5.3082 7.6671 O
2.3684 5.3610 38.4252 O
2.3671 5.3359 15.3694 O
3.2621 5.4927 26.8953 O
3.2733 5.4992 3.8627 O
3.2744 5.5073 11.4916 O
3.2788 5.5377 34.5563 O
3.2798 5.5228 19.2288 O
4.1034 1.4133 24.6538 O
4.1048 1.4192 29.1373 O
4.1090 1.3856 6.0816 O
4.1101 1.4015 21.4622 O
4.1140 1.4159 32.3295 O
4.1128 1.3927 9.2623 O
4.1289 1.4057 36.8225 O
4.1261 1.3654 1.5941 O
4.1282 1.3806 13.7573 O
4.1275 1.3830 16.9732 O
4.3706 4.1549 24.6495 O
4.3723 4.1583 29.1412 O
4.3824 4.1782 36.8380 O
4.3828 4.1488 13.7754 O
4.3804 4.1356 1.5754 O
4.3818 4.1553 16.9570 O
4.3833 4.1567 6.0861 O
4.3874 4.1577 9.2575 O
4.3887 4.1758 21.4674 O
4.3925 4.1877 32.3250 O
5.1467 2.6917 3.8305 O
5.1472 2.7002 11.5186 O
5.1454 2.7097 19.2235 O
5.1472 2.7269 34.5734 O
5.2097 2.6982 26.8944 O
```

=====

(6)
Here is a relaxed CaLaTiCrO6 crystal from the Materials Project database. Energies are from PBE with a Hubbard U.

Summary:
Raw total energy   -8.182 eV per atom
Energy of formation from the pure elements   -3.38 eV per atom

Structure (POSCAR):
```
CaLaTiCrO6
1.0
7.2155 -1.8805 2.3192
-1.5283 9.3823 -0.6388
-3.0052 -3.2658 6.4251
Ca La Ti Cr O
4 4 4 4 24
Cartesian
-0.8380 3.4746 5.9705 Ca
4.2724 4.1672 3.9175 Ca
-0.0458 1.6458 1.0608 Ca
2.0594 -0.9274 5.4329 Ca
0.5820 5.1506 2.7070 La
2.6872 2.5774 7.0792 La
-1.5356 0.0689 4.1841 La
3.5748 0.7615 2.1312 La
1.0493 -1.2777 2.1926 Ti
3.1544 -3.8508 6.5648 Ti
2.8484 3.7609 0.8435 Ti
-2.2620 3.0682 2.8965 Ti
3.4479 -0.4567 8.4207 Cr
3.1284 7.1532 2.7048 Cr
1.3428 2.1165 4.0485 Cr
-1.9820 6.4605 4.7578 Cr
-0.3577 -0.9955 5.9767 O
4.7526 -0.3029 3.9237 O
1.2285 4.0142 4.7131 O
-0.8767 6.5873 0.3409 O
1.0973 4.3855 7.4392 O
-1.0079 6.9586 3.0671 O
-0.6004 2.2192 3.5297 O
4.5100 2.9118 1.4767 O
0.8483 1.5058 5.8998 O
-1.2569 4.0790 1.5276 O
-0.8141 -0.6557 1.9761 O
1.2911 -3.2289 6.3483 O
1.3879 7.4596 1.7232 O
3.4931 4.8865 6.0954 O
3.9191 0.1495 6.5506 O
1.8139 2.7227 2.1785 O
-1.8107 1.3514 6.6070 O
3.2996 2.0440 4.5540 O
3.6570 -2.7022 5.0368 O
1.5518 -0.1290 0.6647 O
3.5523 -2.3730 7.7975 O
1.4471 0.2002 3.4253 O
-2.0387 4.5224 4.1993 O
3.0717 5.2150 2.1463 O
```